MgTiMn5P6O24 | GGA+U | optimized geometry

Its spin magnetization is 23.0 μB per formula unit. The value obtained for the formation energy from the elements is -2.62 eV/atom. The crystal system is triclinic. As for the space group: No. 1.

Cell: 9.1509 8.6490 8.8624 Å, 59.93 58.10 59.97°
Sites, in units of the cell vectors:
O 0.4097 0.0337 0.1677
O 0.2987 0.5438 0.7761
O 0.7304 0.2419 0.5858
O 0.2937 0.7663 0.4028
O 0.1958 0.0986 0.7463
O 0.2845 0.3979 0.5595
O 0.8977 0.5071 0.8782
Mn 0.9649 0.0114 0.9805
O 0.8952 0.7264 0.4822
P 0.7283 0.0523 0.7523
P 0.7286 0.4546 0.0543
O 0.4016 0.1701 0.3983
Ti 0.5300 0.1599 0.1550
O 0.7130 0.4399 0.2393
O 0.8952 0.8798 0.7068
P 0.2423 0.9637 0.2601
O 0.3995 0.4024 0.0427
P 0.7349 0.7610 0.4375
O 0.7336 0.9241 0.2529
O 0.0750 0.0985 0.3662
Mn 0.1120 0.6363 0.6555
Mn 0.7388 0.7290 0.7380
O 0.7300 0.0790 0.9131
O 0.7369 0.5871 0.4271
O 0.2071 0.9628 0.1108
O 0.0678 0.4783 0.1091
O 0.5644 0.0049 0.7986
P 0.2360 0.5440 0.9762
Mn 0.9349 0.3495 0.3679
P 0.2291 0.2588 0.5535
Mg 0.3654 0.8909 0.8815
O 0.0635 0.3504 0.5028
O 0.5698 0.8045 0.6199
O 0.1930 0.7432 0.9724
O 0.7354 0.2679 0.0630
O 0.5718 0.6304 0.9893
Mn 0.5058 0.4870 0.4985